{"formula": "Ni3P4O16", "functional": "PBE with a Hubbard U", "state": "relaxed", "lattice": [[7.671, 0.000, -0.350], [0.000, 7.810, 0.000], [0.067, 0.000, 10.354]], "species": ["O", "O", "O", "P", "O", "O", "P", "Ni", "O", "O", "O", "P", "O", "O", "Ni", "O", "P", "O", "O", "Ni", "P", "O", "Ni", "O", "O", "O", "Ni", "O", "O", "O", "O", "O", "O", "O", "P", "P", "O", "O", "P", "O", "O", "O", "O", "Ni", "O", "O"], "fractional_positions": [[0.159, 0.550, 0.224], [0.447, 0.653, 0.348], [0.670, 0.944, 0.983], [0.302, 0.686, 0.240], [0.887, 0.802, 0.855], [0.543, 0.368, 0.159], [0.198, 0.186, 0.010], [0.099, 0.365, 0.800], [0.830, 0.444, 0.267], [0.555, 0.345, 0.662], [0.397, 0.701, 0.599], [0.314, 0.706, 0.736], [0.368, 0.686, 0.102], [0.341, 0.050, 0.026], [0.499, 0.502, 0.995], [0.745, 0.608, 0.513], [0.698, 0.293, 0.761], [0.235, 0.864, 0.292], [0.346, 0.083, 0.517], [0.502, 0.487, 0.504], [0.818, 0.806, 0.993], [0.265, 0.364, 0.958], [0.998, 0.987, 0.746], [0.241, 0.884, 0.762], [0.630, 0.318, 0.898], [0.957, 0.868, 0.091], [0.001, 0.002, 0.255], [0.154, 0.583, 0.733], [0.870, 0.818, 0.352], [0.453, 0.647, 0.835], [0.774, 0.142, 0.217], [0.103, 0.201, 0.651], [0.755, 0.108, 0.737], [0.132, 0.186, 0.148], [0.682, 0.306, 0.257], [0.186, 0.206, 0.514], [0.053, 0.153, 0.902], [0.646, 0.921, 0.488], [0.802, 0.793, 0.489], [0.726, 0.642, 0.033], [0.259, 0.384, 0.488], [0.945, 0.845, 0.588], [0.613, 0.302, 0.395], [0.401, 0.865, 0.450], [0.047, 0.147, 0.415], [0.854, 0.421, 0.762]], "ef_kcal_per_mol_atoms": -41.4, "e_above_lowest_polymorph_ev_per_atom": 0.000, "spacegroup": "P2_1"}

***

{"formula": "Li24Mn7Cr5O36", "functional": "PBE with a Hubbard U", "state": "relaxed", "lattice": [[-3.095, 3.517, 1.790], [-6.684, -4.089, -5.797], [-0.542, -8.984, 9.763]], "species": ["Li", "Li", "Mn", "O", "Cr", "Cr", "O", "Li", "Mn", "Li", "Mn", "O", "O", "O", "O", "Mn", "O", "O", "Mn", "Cr", "O", "O", "O", "Li", "O", "O", "Li", "Li", "O", "Li", "O", "O", "O", "O", "O", "O", "O", "Cr", "O", "Li", "Li", "Li", "Li", "Li", "Li", "O", "Li", "O", "O", "Li", "O", "O", "O", "O", "Li", "Li", "O", "O", "Li", "Li", "Cr", "Li", "Mn", "O", "Mn", "Li", "O", "O", "O", "O", "Li", "Li"], "fractional_positions": [[0.998, 0.250, 0.750], [0.049, 0.499, 0.112], [0.109, 0.249, 0.973], [0.597, 0.363, 0.548], [0.551, 0.249, 0.861], [0.447, 0.251, 0.637], [0.144, 0.861, 0.143], [0.953, 0.998, 0.386], [0.220, 0.248, 0.193], [0.619, 0.000, 0.720], [0.218, 0.747, 0.694], [0.737, 0.636, 0.118], [0.138, 0.363, 0.643], [0.673, 0.139, 0.404], [0.478, 0.362, 0.309], [0.445, 0.750, 0.139], [0.191, 0.638, 0.024], [0.268, 0.866, 0.380], [0.557, 0.751, 0.360], [0.770, 0.750, 0.807], [0.479, 0.861, 0.809], [0.860, 0.137, 0.858], [0.333, 0.638, 0.238], [0.165, 0.000, 0.835], [0.931, 0.864, 0.716], [0.006, 0.364, 0.431], [0.669, 0.749, 0.584], [0.836, 0.501, 0.667], [0.334, 0.361, 0.096], [0.330, 0.251, 0.416], [0.003, 0.864, 0.932], [0.995, 0.637, 0.573], [0.996, 0.138, 0.071], [0.810, 0.862, 0.475], [0.932, 0.364, 0.216], [0.516, 0.637, 0.688], [0.399, 0.637, 0.450], [0.117, 0.750, 0.474], [0.517, 0.137, 0.189], [0.279, 0.500, 0.555], [0.665, 0.249, 0.083], [0.719, 0.501, 0.446], [0.619, 0.502, 0.221], [0.282, 0.000, 0.053], [0.047, 0.001, 0.614], [0.597, 0.863, 0.048], [0.379, 0.500, 0.777], [0.742, 0.134, 0.617], [0.855, 0.638, 0.357], [0.506, 0.999, 0.499], [0.401, 0.135, 0.953], [0.341, 0.138, 0.739], [0.328, 0.862, 0.595], [0.193, 0.138, 0.525], [0.001, 0.750, 0.250], [0.380, 0.999, 0.279], [0.672, 0.638, 0.904], [0.662, 0.363, 0.760], [0.165, 0.499, 0.333], [0.329, 0.751, 0.917], [0.770, 0.250, 0.306], [0.953, 0.499, 0.888], [0.894, 0.252, 0.528], [0.071, 0.136, 0.285], [0.892, 0.751, 0.029], [0.719, 0.001, 0.947], [0.669, 0.862, 0.261], [0.071, 0.636, 0.786], [0.264, 0.364, 0.883], [0.811, 0.362, 0.975], [0.832, 0.000, 0.167], [0.502, 0.500, 0.001]], "ef_kcal_per_mol_atoms": -50.8, "e_above_lowest_polymorph_ev_per_atom": 0.001, "spacegroup": "P1"}

***

{"formula": "LuVO3", "functional": "PBE with a Hubbard U", "state": "relaxed", "lattice": [[-1.698, -1.833, -4.608], [-4.776, -1.772, 2.464], [-3.246, 6.705, -1.470]], "species": ["Lu", "O", "Lu", "O", "V", "O", "V", "O", "O", "Lu", "O", "O", "Lu", "O", "O", "V", "O", "O", "V", "O"], "fractional_positions": [[0.523, 0.571, 0.250], [0.370, 0.945, 0.250], [0.023, 0.929, 0.750], [0.870, 0.555, 0.750], [0.000, 0.500, 0.500], [0.130, 0.445, 0.250], [0.500, 0.000, 0.500], [0.190, 0.186, 0.935], [0.630, 0.055, 0.750], [0.977, 0.071, 0.250], [0.190, 0.186, 0.565], [0.810, 0.814, 0.435], [0.477, 0.429, 0.750], [0.810, 0.814, 0.065], [0.690, 0.314, 0.065], [0.500, 0.000, 0.000], [0.690, 0.314, 0.435], [0.310, 0.686, 0.935], [0.000, 0.500, 0.000], [0.310, 0.686, 0.565]], "ef_kcal_per_mol_atoms": -76.6, "spacegroup": "Pnma"}

***

{"formula": "Mg2FeBO5", "functional": "PBE with a Hubbard U", "state": "relaxed", "lattice": [[3.043, 0.000, 0.000], [0.000, 9.373, 0.000], [0.000, 0.000, 12.426]], "species": ["Fe", "O", "O", "Mg", "B", "Mg", "Fe", "Mg", "Fe", "Mg", "O", "O", "Mg", "Fe", "O", "O", "O", "O", "O", "O", "O", "Mg", "O", "B", "Mg", "O", "O", "O", "Mg", "O", "B", "O", "B", "O", "O", "O"], "fractional_positions": [[0.000, 0.261, 0.884], [0.000, 0.151, 0.737], [0.000, 0.375, 0.642], [0.000, 0.000, 0.000], [0.000, 0.728, 0.860], [0.000, 0.500, 0.500], [0.000, 0.761, 0.616], [0.500, 0.999, 0.782], [0.000, 0.239, 0.384], [0.500, 0.501, 0.282], [0.000, 0.651, 0.957], [0.500, 0.392, 0.857], [0.500, 0.000, 0.500], [0.000, 0.739, 0.116], [0.000, 0.349, 0.237], [0.000, 0.625, 0.358], [0.000, 0.875, 0.858], [0.000, 0.125, 0.142], [0.500, 0.882, 0.076], [0.500, 0.618, 0.576], [0.500, 0.608, 0.143], [0.500, 0.499, 0.718], [0.500, 0.892, 0.643], [0.000, 0.272, 0.140], [0.500, 0.500, 0.000], [0.000, 0.349, 0.043], [0.000, 0.849, 0.263], [0.000, 0.849, 0.457], [0.500, 0.001, 0.218], [0.500, 0.118, 0.924], [0.000, 0.772, 0.360], [0.500, 0.382, 0.424], [0.000, 0.228, 0.640], [0.000, 0.151, 0.543], [0.000, 0.651, 0.763], [0.500, 0.108, 0.357]], "ef_kcal_per_mol_atoms": -61.9, "spacegroup": "Pbam"}

***

{"formula": "Li9Mn2Co5O16", "functional": "PBE with a Hubbard U", "state": "relaxed", "lattice": [[-5.871, 0.000, 0.000], [2.813, 5.883, 0.000], [-0.005, -0.118, -8.245]], "species": ["O", "O", "O", "O", "Co", "Li", "O", "O", "Li", "Li", "O", "O", "Mn", "Li", "Li", "O", "Co", "Mn", "O", "Co", "O", "O", "Li", "Co", "O", "O", "Li", "Li", "Li", "O", "Co", "O"], "fractional_positions": [[0.000, 0.004, 0.234], [0.476, 0.962, 0.744], [0.010, 0.992, 0.761], [0.350, 0.232, 0.001], [0.375, 0.259, 0.255], [0.369, 0.258, 0.744], [0.640, 0.735, 0.516], [0.499, 0.015, 0.253], [0.996, 0.999, 0.498], [0.254, 0.501, 0.499], [0.870, 0.269, 0.491], [0.747, 0.495, 0.268], [0.127, 0.745, 0.746], [0.244, 0.494, 0.001], [0.506, 0.009, 0.499], [0.878, 0.235, 0.008], [0.752, 0.500, 0.501], [0.001, 0.002, 0.997], [0.417, 0.279, 0.498], [0.498, 0.000, 0.003], [0.651, 0.767, 0.981], [0.096, 0.733, 0.514], [0.133, 0.745, 0.259], [0.875, 0.250, 0.254], [0.240, 0.516, 0.753], [0.112, 0.760, 0.985], [0.890, 0.254, 0.744], [0.749, 0.500, 0.005], [0.615, 0.747, 0.258], [0.248, 0.483, 0.248], [0.616, 0.739, 0.744], [0.765, 0.520, 0.738]], "ef_kcal_per_mol_atoms": -41.8, "e_above_lowest_polymorph_ev_per_atom": 0.051, "spacegroup": "P1"}

***

{"formula": "CaNiP2WO9", "functional": "PBE with a Hubbard U", "state": "relaxed", "lattice": [[-4.403, -2.165, 4.449], [-4.054, -3.275, -5.607], [7.600, -12.157, 1.605]], "species": ["O", "Ca", "O", "O", "P", "O", "O", "O", "O", "O", "O", "W", "Ca", "W", "O", "Ni", "O", "Ca", "O", "O", "W", "P", "Ni", "O", "P", "O", "Ca", "O", "P", "O", "O", "O", "O", "O", "W", "O", "O", "P", "P", "P", "O", "O", "O", "O", "O", "O", "P", "O", "O", "Ni", "O", "Ni", "O", "O", "O", "O"], "fractional_positions": [[0.445, 0.892, 0.868], [0.750, 0.905, 0.785], [0.750, 0.215, 0.751], [0.432, 0.367, 0.866], [0.250, 0.154, 0.433], [0.750, 0.988, 0.492], [0.055, 0.892, 0.868], [0.750, 0.834, 0.020], [0.055, 0.608, 0.368], [0.068, 0.367, 0.866], [0.250, 0.166, 0.980], [0.250, 0.851, 0.618], [0.750, 0.595, 0.285], [0.250, 0.649, 0.118], [0.432, 0.133, 0.366], [0.000, 0.000, 0.000], [0.250, 0.785, 0.249], [0.250, 0.095, 0.215], [0.945, 0.108, 0.132], [0.750, 0.373, 0.441], [0.750, 0.351, 0.882], [0.750, 0.115, 0.188], [0.500, 0.500, 0.500], [0.750, 0.969, 0.267], [0.250, 0.885, 0.812], [0.932, 0.633, 0.134], [0.250, 0.405, 0.715], [0.250, 0.469, 0.233], [0.250, 0.615, 0.312], [0.750, 0.285, 0.251], [0.250, 0.012, 0.508], [0.250, 0.488, 0.008], [0.568, 0.867, 0.634], [0.250, 0.873, 0.059], [0.750, 0.149, 0.382], [0.250, 0.627, 0.559], [0.932, 0.867, 0.634], [0.750, 0.385, 0.688], [0.250, 0.346, 0.933], [0.750, 0.654, 0.067], [0.750, 0.512, 0.992], [0.750, 0.531, 0.767], [0.568, 0.633, 0.134], [0.945, 0.392, 0.632], [0.555, 0.108, 0.132], [0.250, 0.715, 0.749], [0.750, 0.846, 0.567], [0.750, 0.127, 0.941], [0.750, 0.666, 0.520], [0.500, 0.000, 0.000], [0.555, 0.392, 0.632], [0.000, 0.500, 0.500], [0.250, 0.031, 0.733], [0.445, 0.608, 0.368], [0.250, 0.334, 0.480], [0.068, 0.133, 0.366]], "ef_kcal_per_mol_atoms": -59.2, "spacegroup": "Pnma"}

***

{"formula": "PrEuMnSbO6", "functional": "PBE with a Hubbard U", "state": "relaxed", "lattice": [[0.000, -4.067, -4.067], [4.067, 0.000, -4.067], [4.067, -4.067, 0.000]], "species": ["Sb", "O", "O", "Mn", "O", "Pr", "O", "O", "O", "Eu"], "fractional_positions": [[0.500, 0.500, 0.500], [0.257, 0.743, 0.257], [0.257, 0.257, 0.743], [0.000, 0.000, 0.000], [0.257, 0.743, 0.743], [0.750, 0.750, 0.750], [0.743, 0.257, 0.257], [0.743, 0.257, 0.743], [0.743, 0.743, 0.257], [0.250, 0.250, 0.250]], "ef_kcal_per_mol_atoms": -60.6, "spacegroup": "F-43m"}

***

{"formula": "Li2Cr3SbO8", "functional": "PBE with a Hubbard U", "state": "relaxed", "lattice": [[1.347, -3.101, 4.913], [-2.633, 7.519, 5.474], [-4.155, -3.360, 2.628]], "species": ["Li", "O", "Li", "O", "O", "O", "O", "Cr", "Li", "Cr", "Sb", "Li", "O", "O", "O", "O", "Cr", "O", "O", "O", "O", "O", "O", "Sb", "Cr", "Cr", "Cr", "O"], "fractional_positions": [[0.000, 0.991, 0.000], [0.519, 0.843, 0.519], [0.333, 0.904, 0.333], [0.000, 0.306, 0.000], [0.666, 0.607, 0.666], [0.331, 0.095, 0.834], [0.000, 0.806, 0.000], [0.341, 0.714, 0.830], [0.667, 0.404, 0.667], [0.829, 0.714, 0.829], [0.667, 0.988, 0.667], [0.000, 0.491, 0.000], [0.963, 0.844, 0.518], [0.519, 0.844, 0.964], [0.334, 0.107, 0.332], [0.835, 0.095, 0.834], [0.170, 0.214, 0.171], [0.835, 0.095, 0.331], [0.481, 0.344, 0.482], [0.165, 0.595, 0.669], [0.669, 0.595, 0.165], [0.165, 0.595, 0.165], [0.481, 0.343, 0.038], [0.333, 0.488, 0.333], [0.171, 0.214, 0.658], [0.830, 0.714, 0.341], [0.659, 0.214, 0.171], [0.037, 0.344, 0.482]], "ef_kcal_per_mol_atoms": -53.5, "e_above_lowest_polymorph_ev_per_atom": 0.008, "spacegroup": "Cc"}

***

{"formula": "Li5Fe8B8O24", "functional": "PBE with a Hubbard U", "state": "relaxed", "lattice": [[5.264, 0.000, 0.000], [-0.010, 9.104, 0.000], [-2.530, -4.492, 10.123]], "species": ["O", "O", "O", "B", "O", "Li", "Li", "Fe", "Fe", "O", "B", "Li", "B", "O", "B", "O", "O", "O", "O", "Li", "Fe", "O", "B", "O", "O", "O", "Fe", "O", "Fe", "O", "O", "Fe", "B", "B", "O", "Fe", "O", "O", "Li", "O", "B", "O", "Fe", "O", "O"], "fractional_positions": [[0.899, 0.292, 0.162], [0.875, 0.817, 0.365], [0.990, 0.897, 0.143], [0.733, 0.393, 0.126], [0.476, 0.388, 0.128], [0.026, 0.040, 0.403], [0.770, 0.743, 0.159], [0.272, 0.934, 0.882], [0.469, 0.158, 0.633], [0.246, 0.857, 0.674], [0.020, 0.693, 0.379], [0.485, 0.510, 0.665], [0.976, 0.316, 0.626], [0.363, 0.287, 0.356], [0.516, 0.175, 0.373], [0.081, 0.171, 0.609], [0.255, 0.679, 0.338], [0.836, 0.506, 0.086], [0.637, 0.011, 0.922], [0.987, 0.012, 0.668], [0.773, 0.435, 0.883], [0.413, 0.797, 0.172], [0.241, 0.897, 0.132], [0.514, 0.572, 0.860], [0.587, 0.920, 0.585], [0.135, 0.512, 0.922], [0.520, 0.848, 0.382], [0.337, 0.001, 0.083], [0.250, 0.557, 0.126], [0.935, 0.591, 0.424], [0.593, 0.686, 0.633], [0.963, 0.656, 0.628], [0.265, 0.601, 0.874], [0.766, 0.101, 0.876], [0.759, 0.159, 0.344], [0.019, 0.360, 0.381], [0.422, 0.066, 0.419], [0.142, 0.718, 0.840], [0.270, 0.250, 0.168], [0.014, 0.074, 0.859], [0.477, 0.817, 0.631], [0.641, 0.217, 0.840], [0.750, 0.061, 0.128], [0.746, 0.348, 0.672], [0.096, 0.428, 0.597]], "ef_kcal_per_mol_atoms": -52.7, "e_above_lowest_polymorph_ev_per_atom": 0.004, "spacegroup": "P1"}

***

{"formula": "Li3Cr4PO19", "functional": "PBE with a Hubbard U", "state": "relaxed", "lattice": [[-6.398, -4.370, 1.738], [0.064, -0.063, -7.940], [2.450, -7.203, -1.569]], "species": ["O", "Cr", "Li", "Cr", "O", "O", "Li", "O", "Cr", "O", "O", "O", "O", "O", "O", "Cr", "O", "O", "O", "Li", "P", "O", "O", "O", "O", "O", "O"], "fractional_positions": [[0.728, 0.511, 0.986], [0.527, 0.527, 0.069], [0.857, 0.357, 0.880], [0.533, 0.920, 0.460], [0.257, 0.042, 0.961], [0.659, 0.119, 0.876], [0.955, 0.955, 0.545], [0.132, 0.132, 0.318], [0.167, 0.167, 0.834], [0.734, 0.992, 0.482], [0.042, 0.257, 0.961], [0.386, 0.386, 0.014], [0.467, 0.467, 0.322], [0.523, 0.000, 0.255], [0.390, 0.976, 0.606], [0.920, 0.533, 0.460], [0.045, 0.045, 0.738], [0.119, 0.659, 0.876], [0.992, 0.734, 0.482], [0.357, 0.857, 0.880], [0.490, 0.490, 0.507], [0.976, 0.390, 0.606], [0.511, 0.728, 0.986], [0.468, 0.673, 0.531], [0.000, 0.523, 0.255], [0.673, 0.468, 0.531], [0.343, 0.343, 0.657]], "ef_kcal_per_mol_atoms": -33.4, "spacegroup": "Cm"}

***

Quick rundown of E_tot, same order as above: -281.660 -448.392 -165.222 -246.239 -185.729 -395.569 -78.498 -194.913 -317.881 -161.849 eV for the cell shown
Quick rundown of total magnetization, same order as above: 20.000 31.000 7.996 20.004 10.000 16.000 12.000 0.000 35.000 5.999 μB per cell